Entry 1:
Material: NaCa2Mg2V3O12
Method: DFT, GGA+U
State: relaxed

Output
- total energy after the MP2020 corrections (eV/atom) = -7.613
- energy of formation from the pure elements (eV per atom) = -2.855
- space-group type = I4_1/acd, No. 142

a = 10.893 Å, b = 10.893 Å, c = 10.893 Å
α = 109.50°, β = 109.50°, γ = 109.41°
Sites, in units of the cell vectors:
Na 0.125 0.375 0.750
Na 0.375 0.125 0.250
Na 0.625 0.875 0.750
Na 0.875 0.625 0.250
Ca 0.127 0.250 0.377
Ca 0.250 0.373 0.123
Ca 0.250 0.873 0.623
Ca 0.373 0.750 0.123
Ca 0.627 0.250 0.877
Ca 0.750 0.127 0.377
Ca 0.750 0.627 0.877
Ca 0.873 0.750 0.623
Mg 0.000 0.000 0.000
Mg 0.000 0.000 0.500
Mg 0.000 0.500 0.000
Mg 0.000 0.500 0.500
Mg 0.500 0.000 0.000
Mg 0.500 0.000 0.500
Mg 0.500 0.500 0.000
Mg 0.500 0.500 0.500
V 0.125 0.750 0.875
V 0.125 0.875 0.250
V 0.250 0.125 0.875
V 0.250 0.625 0.375
V 0.375 0.250 0.625
V 0.375 0.625 0.750
V 0.625 0.375 0.250
V 0.625 0.750 0.375
V 0.750 0.375 0.625
V 0.750 0.875 0.125
V 0.875 0.125 0.750
V 0.875 0.250 0.125
O 0.014 0.306 0.901
O 0.017 0.207 0.120
O 0.087 0.707 0.690
O 0.094 0.887 0.401
O 0.104 0.983 0.690
O 0.107 0.617 0.413
O 0.113 0.014 0.208
O 0.117 0.607 0.913
O 0.193 0.204 0.587
O 0.194 0.486 0.599
O 0.204 0.117 0.011
O 0.207 0.587 0.190
O 0.293 0.483 0.380
O 0.296 0.307 0.913
O 0.306 0.906 0.292
O 0.307 0.893 0.011
O 0.383 0.296 0.489
O 0.387 0.594 0.901
O 0.393 0.807 0.511
O 0.396 0.087 0.880
O 0.406 0.806 0.792
O 0.413 0.104 0.620
O 0.483 0.604 0.190
O 0.486 0.387 0.292
O 0.514 0.613 0.708
O 0.517 0.396 0.810
O 0.587 0.896 0.380
O 0.594 0.194 0.208
O 0.604 0.913 0.120
O 0.607 0.193 0.489
O 0.613 0.406 0.099
O 0.617 0.704 0.511
O 0.693 0.107 0.989
O 0.694 0.094 0.708
O 0.704 0.693 0.087
O 0.707 0.517 0.620
O 0.793 0.413 0.810
O 0.796 0.883 0.989
O 0.806 0.514 0.401
O 0.807 0.796 0.413
O 0.883 0.393 0.087
O 0.887 0.986 0.792
O 0.893 0.383 0.587
O 0.896 0.017 0.310
O 0.906 0.113 0.599
O 0.913 0.293 0.310
O 0.983 0.793 0.880
O 0.986 0.694 0.099

Entry 2:
Material: Sr5V3O13
Method: DFT, GGA+U
State: relaxed

Output
- total energy after the MP2020 corrections (eV/atom) = -7.728
- energy of formation from the pure elements (eV per atom) = -2.965
- space-group type = P6_3, No. 173

a = 10.261 Å, b = 10.261 Å, c = 7.461 Å
α = 90.00°, β = 90.00°, γ = 120.00°
Sites, in units of the cell vectors:
Sr 0.003 0.753 0.000
Sr 0.247 0.250 0.000
Sr 0.250 0.003 0.500
Sr 0.333 0.667 0.251
Sr 0.333 0.667 0.754
Sr 0.667 0.333 0.254
Sr 0.667 0.333 0.751
Sr 0.750 0.997 0.000
Sr 0.753 0.750 0.500
Sr 0.997 0.247 0.500
V 0.031 0.631 0.501
V 0.369 0.400 0.501
V 0.400 0.031 0.001
V 0.600 0.969 0.501
V 0.631 0.600 0.001
V 0.969 0.369 0.001
O 0.000 0.000 0.466
O 0.000 0.000 0.966
O 0.089 0.751 0.684
O 0.093 0.747 0.315
O 0.129 0.532 0.505
O 0.164 0.487 0.001
O 0.249 0.338 0.684
O 0.253 0.346 0.315
O 0.323 0.836 0.001
O 0.338 0.089 0.184
O 0.346 0.093 0.815
O 0.402 0.871 0.505
O 0.468 0.598 0.505
O 0.487 0.323 0.501
O 0.513 0.677 0.001
O 0.532 0.402 0.005
O 0.598 0.129 0.005
O 0.654 0.907 0.315
O 0.662 0.911 0.684
O 0.677 0.164 0.501
O 0.747 0.654 0.815
O 0.751 0.662 0.184
O 0.836 0.513 0.501
O 0.871 0.468 0.005
O 0.907 0.253 0.815
O 0.911 0.249 0.184

- Which formula does entry 1 have?
  NaCa2Mg2V3O12

- Which value of energy of formation from the pure elements does entry 1 give?
  -2.855 eV per atom